A plane-wave DFT calculation with r2SCAN was carried out for a relaxed TbIr2 crystal. Values from VASP.

Quantum ESPRESSO input file:
```
&SYSTEM
  ibrav = 0, nat = 6, ntyp = 2
/
ATOMIC_SPECIES
Tb 158.93 Tb.upf
Ir 192.22 Ir.upf
CELL_PARAMETERS angstrom
0.000 3.776 3.776
3.776 0.000 3.776
3.776 3.776 0.000
ATOMIC_POSITIONS angstrom
Tb 0.944 0.944 0.944
Tb 6.608 6.608 6.608
Ir 3.776 1.888 1.888
Ir 1.888 3.776 1.888
Ir 1.888 1.888 3.776
Ir 3.776 3.776 3.776
```

Values from the calculation:
Raw total energy   -277.379 eV/cell
DFT formation energy   -0.91 eV/atom
SG   Fd-3m (227)
Crystal system   cubic
Spin magnetization   0.0 μB per cell